Below is crystalline LuMnSn2 at its relaxed geometry, with properties calculated at the PBE level.

Cell and atoms, written as POSCAR:
```
LuMnSn2
1.0
8.960 0.000 0.000
0.000 10.257 0.000
0.000 0.000 11.279
Sn Lu Mn
24 12 12
Direct
0.663 0.338 0.319 Sn
0.500 0.372 0.594 Sn
0.337 0.838 0.181 Sn
0.337 0.338 0.319 Sn
0.500 0.042 0.376 Sn
0.663 0.662 0.681 Sn
0.500 0.872 0.906 Sn
0.500 0.542 0.124 Sn
0.000 0.129 0.102 Sn
0.337 0.162 0.819 Sn
0.000 0.541 0.123 Sn
0.500 0.628 0.406 Sn
0.337 0.662 0.681 Sn
0.663 0.162 0.819 Sn
0.500 0.128 0.094 Sn
0.000 0.041 0.377 Sn
0.000 0.629 0.398 Sn
0.000 0.871 0.898 Sn
0.500 0.958 0.624 Sn
0.663 0.838 0.181 Sn
0.000 0.959 0.623 Sn
0.500 0.458 0.876 Sn
0.000 0.371 0.602 Sn
0.000 0.459 0.877 Sn
0.240 0.671 0.952 Lu
0.760 0.329 0.048 Lu
0.240 0.829 0.452 Lu
0.000 0.165 0.821 Lu
0.760 0.171 0.548 Lu
0.240 0.329 0.048 Lu
0.000 0.335 0.321 Lu
0.760 0.829 0.452 Lu
0.000 0.835 0.179 Lu
0.240 0.171 0.548 Lu
0.000 0.665 0.679 Lu
0.760 0.671 0.952 Lu
0.249 0.089 0.249 Mn
0.244 0.000 0.000 Mn
0.249 0.411 0.749 Mn
0.249 0.589 0.251 Mn
0.751 0.589 0.251 Mn
0.249 0.911 0.751 Mn
0.751 0.411 0.749 Mn
0.751 0.089 0.249 Mn
0.756 0.500 0.500 Mn
0.244 0.500 0.500 Mn
0.756 0.000 0.000 Mn
0.751 0.911 0.751 Mn
```

Calculated formation energy: -0.3274 eV/atom
Spin magnetization: 0.6767 μB/atom
Crystal system: orthorhombic

Below is crystalline LuMo6S8 at its relaxed geometry, with properties calculated at the PBE level.

Cell and atoms, written as POSCAR:
```
LuMo6S8
1.0
4.587 -4.572 0.000
4.587 4.572 0.000
0.029 0.000 6.477
S Mo Lu
8 6 1
Direct
0.633 0.872 0.248 S
0.248 0.633 0.872 S
0.367 0.128 0.752 S
0.235 0.235 0.235 S
0.128 0.752 0.367 S
0.752 0.367 0.128 S
0.765 0.765 0.765 S
0.872 0.248 0.633 S
0.223 0.419 0.559 Mo
0.559 0.223 0.419 Mo
0.441 0.777 0.581 Mo
0.581 0.441 0.777 Mo
0.419 0.559 0.223 Mo
0.777 0.581 0.441 Mo
0.000 0.000 0.000 Lu
```

Calculated formation energy: -1.1426 eV/atom
Spin magnetization: 0.0059 μB/atom
Crystal system: trigonal

Below is crystalline Lu6Sb2Mo at its relaxed geometry, with properties calculated at the PBE level.

Cell and atoms, written as POSCAR:
```
Lu6Sb2Mo
1.0
0.139 7.253 3.350
-2.205 -6.353 4.316
4.090 -0.621 1.175
Sb Lu Mo
2 6 1
Direct
0.333 0.667 0.000 Sb
0.667 0.333 0.000 Sb
0.000 0.239 0.000 Lu
0.391 0.391 0.500 Lu
0.239 0.000 0.000 Lu
0.609 0.000 0.500 Lu
0.761 0.761 0.000 Lu
0.000 0.609 0.500 Lu
0.000 0.000 0.500 Mo
```

Calculated formation energy: -0.5308 eV/atom
Crystal system: hexagonal

Below is crystalline Lu2Si4Mo3 at its relaxed geometry, with properties calculated at the PBE level.

Cell and atoms, written as POSCAR:
```
Lu2Si4Mo3
1.0
-4.987 1.177 4.314
-4.431 -3.172 -4.258
2.405 -11.193 5.835
Si Mo Lu
16 12 8
Direct
0.339 0.960 0.454 Si
0.466 0.630 0.250 Si
0.801 0.633 0.750 Si
0.161 0.460 0.954 Si
0.339 0.960 0.046 Si
0.661 0.040 0.954 Si
0.034 0.130 0.750 Si
0.966 0.870 0.250 Si
0.839 0.540 0.454 Si
0.699 0.133 0.250 Si
0.534 0.370 0.750 Si
0.839 0.540 0.046 Si
0.199 0.367 0.250 Si
0.661 0.040 0.546 Si
0.161 0.460 0.546 Si
0.301 0.867 0.750 Si
0.330 0.166 0.876 Mo
0.330 0.166 0.624 Mo
0.670 0.834 0.376 Mo
0.666 0.996 0.750 Mo
0.670 0.834 0.124 Mo
0.830 0.334 0.876 Mo
0.170 0.666 0.124 Mo
0.166 0.504 0.750 Mo
0.170 0.666 0.376 Mo
0.834 0.496 0.250 Mo
0.334 0.004 0.250 Mo
0.830 0.334 0.624 Mo
0.503 0.669 0.594 Lu
0.497 0.331 0.406 Lu
0.497 0.331 0.094 Lu
0.003 0.831 0.906 Lu
0.503 0.669 0.906 Lu
0.997 0.169 0.406 Lu
0.003 0.831 0.594 Lu
0.997 0.169 0.094 Lu
```

Calculated formation energy: -0.7012 eV/atom
Spin magnetization: 0.0000 μB/atom
Crystal system: orthorhombic

Below is crystalline LuN at its relaxed geometry, with properties calculated at the PBE level.

Cell and atoms, written as POSCAR:
```
LuN
1.0
1.532 -2.966 -0.411
-0.893 -2.631 1.895
-1.666 -2.577 -1.378
Lu N
1 1
Direct
0.000 0.000 0.000 Lu
0.500 0.500 0.500 N
```

Calculated formation energy: -2.0580 eV/atom
Crystal system: cubic

Below is crystalline NaLu3 at its relaxed geometry, with properties calculated at the PBE level.

Cell and atoms, written as POSCAR:
```
NaLu3
1.0
0.000 3.893 3.893
3.893 0.000 3.893
3.893 3.893 0.000
Lu Na
3 1
Direct
0.750 0.750 0.750 Lu
0.500 0.500 0.500 Lu
0.250 0.250 0.250 Lu
0.000 0.000 0.000 Na
```

Calculated formation energy: 0.3363 eV/atom
Distance to the lowest polymorph of the same formula: 0 meV per atom
Crystal system: cubic

Below is crystalline NaLu3 at its relaxed geometry, with properties calculated at the PBE level.

Cell and atoms, written as POSCAR:
```
NaLu3
1.0
0.788 -4.602 -4.136
3.443 -4.746 2.127
-4.929 3.152 2.162
Lu Na
3 1
Direct
0.250 0.750 0.500 Lu
0.500 0.500 0.000 Lu
0.750 0.250 0.500 Lu
0.000 0.000 0.000 Na
```

Calculated formation energy: 0.3404 eV/atom
Distance to the lowest polymorph of the same formula: 4 meV per atom
Spin magnetization: 0.4031 μB/atom
Crystal system: tetragonal

Below is crystalline NaLuO2 at its relaxed geometry, with properties calculated at the PBE level.

Cell and atoms, written as POSCAR:
```
NaLuO2
1.0
-2.695 2.629 6.238
-1.609 -6.427 -3.032
1.622 -3.904 4.004
O Na Lu
8 4 4
Direct
0.735 0.862 0.705 O
0.862 0.735 0.205 O
0.959 0.583 0.708 O
0.041 0.417 0.292 O
0.417 0.041 0.792 O
0.583 0.959 0.208 O
0.265 0.138 0.295 O
0.138 0.265 0.795 O
0.681 0.319 0.250 Na
0.556 0.444 0.750 Na
0.444 0.556 0.250 Na
0.319 0.681 0.750 Na
0.807 0.193 0.750 Lu
0.193 0.807 0.250 Lu
0.933 0.067 0.250 Lu
0.067 0.933 0.750 Lu
```

Calculated formation energy: -3.2387 eV/atom
Distance to the lowest polymorph of the same formula: 7 meV per atom
Crystal system: monoclinic

Below is crystalline NaLuO2 at its relaxed geometry, with properties calculated at the PBE level.

Cell and atoms, written as POSCAR:
```
NaLuO2
1.0
5.642 -1.666 0.000
5.642 1.666 0.000
5.150 0.000 2.844
Lu Na O
1 1 2
Direct
0.500 0.500 0.500 Lu
0.000 0.000 0.000 Na
0.236 0.236 0.236 O
0.764 0.764 0.764 O
```

Calculated formation energy: -3.2456 eV/atom
Distance to the lowest polymorph of the same formula: 0 meV per atom
Crystal system: trigonal

Below is crystalline NaLuO2 at its relaxed geometry, with properties calculated at the PBE level.

Cell and atoms, written as POSCAR:
```
NaLuO2
1.0
-1.626 -5.653 -1.133
-5.571 -1.443 1.662
2.509 4.439 -3.145
Lu O Na
2 4 2
Direct
0.750 0.250 0.500 Lu
0.000 0.000 0.000 Lu
0.220 0.220 0.000 O
0.530 0.030 0.500 O
0.970 0.470 0.500 O
0.780 0.780 0.000 O
0.250 0.750 0.500 Na
0.500 0.500 0.000 Na
```

Calculated formation energy: -3.2188 eV/atom
Distance to the lowest polymorph of the same formula: 27 meV per atom
Spin magnetization: 0.0000 μB/atom
Crystal system: tetragonal

Below is crystalline NaLuP2O7 at its relaxed geometry, with properties calculated at the PBE level.

Cell and atoms, written as POSCAR:
```
NaLuP2O7
1.0
5.415 0.000 0.000
0.000 9.078 0.000
0.000 6.155 12.531
O P Na Lu
28 8 4 4
Direct
0.112 0.724 0.957 O
0.262 0.997 0.067 O
0.034 0.716 0.645 O
0.790 0.473 0.124 O
0.997 0.265 0.843 O
0.946 0.691 0.408 O
0.966 0.284 0.355 O
0.238 0.997 0.567 O
0.497 0.735 0.657 O
0.388 0.724 0.457 O
0.277 0.833 0.265 O
0.710 0.473 0.624 O
0.466 0.716 0.145 O
0.888 0.276 0.043 O
0.738 0.003 0.933 O
0.446 0.309 0.092 O
0.612 0.276 0.543 O
0.003 0.735 0.157 O
0.762 0.003 0.433 O
0.503 0.265 0.343 O
0.054 0.309 0.592 O
0.290 0.527 0.376 O
0.777 0.167 0.235 O
0.210 0.527 0.876 O
0.554 0.691 0.908 O
0.534 0.284 0.855 O
0.723 0.167 0.735 O
0.223 0.833 0.765 O
0.722 0.314 0.117 P
0.250 0.821 0.152 P
0.250 0.821 0.652 P
0.750 0.179 0.848 P
0.222 0.686 0.383 P
0.750 0.179 0.348 P
0.278 0.686 0.883 P
0.778 0.314 0.617 P
0.728 0.555 0.308 Na
0.228 0.445 0.192 Na
0.772 0.555 0.808 Na
0.272 0.445 0.692 Na
0.763 0.744 0.026 Lu
0.237 0.256 0.974 Lu
0.263 0.256 0.474 Lu
0.737 0.744 0.526 Lu
```

Calculated formation energy: -3.1318 eV/atom
Crystal system: monoclinic

Below is crystalline NaLuPd6O8 at its relaxed geometry, with properties calculated at the PBE level.

Cell and atoms, written as POSCAR:
```
NaLuPd6O8
1.0
-5.061 2.486 -1.430
-0.761 -3.960 -4.193
-2.765 -3.461 3.770
Pd Lu O Na
6 1 8 1
Direct
0.000 0.751 0.500 Pd
0.500 0.000 0.249 Pd
0.751 0.500 0.000 Pd
0.249 0.500 0.000 Pd
0.500 0.000 0.751 Pd
0.000 0.249 0.500 Pd
0.000 0.000 0.000 Lu
0.764 0.764 0.764 O
0.764 0.236 0.764 O
0.236 0.764 0.764 O
0.236 0.236 0.236 O
0.764 0.236 0.236 O
0.236 0.236 0.764 O
0.236 0.764 0.236 O
0.764 0.764 0.236 O
0.500 0.500 0.500 Na
```

Calculated formation energy: -1.4474 eV/atom
Spin magnetization: 0.0000 μB/atom
Crystal system: cubic

Below is crystalline NaLuRe4O20 at its relaxed geometry, with properties calculated at the PBE level.

Cell and atoms, written as POSCAR:
```
NaLuRe4O20
1.0
0.000 0.000 5.928
12.325 0.000 0.000
0.000 12.325 0.000
O Na Re Lu
40 2 8 2
Direct
0.995 0.631 0.073 O
0.990 0.708 0.277 O
0.495 0.131 0.427 O
0.474 0.051 0.635 O
0.799 0.959 0.188 O
0.831 0.523 0.641 O
0.526 0.365 0.051 O
0.831 0.477 0.359 O
0.669 0.859 0.977 O
0.331 0.023 0.859 O
0.026 0.865 0.449 O
0.005 0.927 0.631 O
0.990 0.292 0.723 O
0.331 0.977 0.141 O
0.490 0.208 0.223 O
0.005 0.073 0.369 O
0.026 0.135 0.551 O
0.495 0.869 0.573 O
0.201 0.812 0.959 O
0.974 0.551 0.865 O
0.799 0.041 0.812 O
0.526 0.635 0.949 O
0.701 0.688 0.459 O
0.201 0.188 0.041 O
0.474 0.949 0.365 O
0.995 0.369 0.927 O
0.974 0.449 0.135 O
0.669 0.141 0.023 O
0.510 0.777 0.208 O
0.299 0.459 0.312 O
0.010 0.277 0.292 O
0.169 0.641 0.477 O
0.010 0.723 0.708 O
0.299 0.541 0.688 O
0.169 0.359 0.523 O
0.510 0.223 0.792 O
0.701 0.312 0.541 O
0.505 0.573 0.131 O
0.505 0.427 0.869 O
0.490 0.792 0.777 O
0.500 0.500 0.500 Na
0.000 0.000 0.000 Na
0.470 0.776 0.916 Re
0.470 0.224 0.084 Re
0.030 0.416 0.276 Re
0.030 0.584 0.724 Re
0.530 0.916 0.224 Re
0.970 0.724 0.416 Re
0.530 0.084 0.776 Re
0.970 0.276 0.584 Re
0.250 0.000 0.500 Lu
0.750 0.500 0.000 Lu
```

Calculated formation energy: -1.7223 eV/atom
Spin magnetization: 0.3077 μB/atom
Crystal system: tetragonal